Computed, not measured: a relaxed structure of CaTmMn2O6 at the PBE with a Hubbard U level of DFT.

abc: 7.5660 5.3106 5.5424
angles: 90.00 90.00 90.00
With the nearest neighbours (Å) after each atom.
Space group Pmc2_1 (No. 26)
Unique sites:
Ca  0.0000  0.2370  0.0000 x2  4 O 2.31-2.37
Tm  0.5000  0.2654  0.1228 x2  6 O 2.25-2.41
Mn  0.2491  0.2463  0.5558 x4  6 O 1.95-2.03
O  0.0000  0.3359  0.5827 x2  2 Mn 1.95
O  0.2146  0.0584  0.2486 x4  2 Mn 1.96-1.99
O  0.3119  0.4544  0.8505 x4  2 Mn 2.01-2.03
O  0.5000  0.1443  0.5197 x2  2 Mn 1.98

Output
- total DFT energy (no corrections) (eV for the cell shown) = -150.03
- distance to the lowest polymorph of the same formula (eV/f.u.) = 0.00
- total moment (μB per atom) = 0.70

Computed, not measured: a relaxed structure of Ca3Mn2W2O12 at the PBE with a Hubbard U level of DFT.

abc: 5.5191 5.6442 7.6097
angles: 89.46 89.81 85.70
With the nearest neighbours (Å) after each atom.
Space group P1 (No. 1)
Unique sites:
Ca  0.0000  0.0000  0.0000 x1  8 O 2.37-2.62
Ca  0.0016  0.0982  0.4961 x1  6 O 2.36-2.61
Ca  0.5214  0.4950  0.0005 x1  6 O 2.35-2.51
Mn  0.0083  0.5484  0.2501 x1  4 O 1.94-1.97
Mn  0.4991  0.0358  0.7504 x1  4 O 1.93-1.98
W  0.0063  0.5492  0.7409 x1  6 O 1.89-2.05
W  0.5006  0.0371  0.2590 x1  6 O 1.91-2.03
O  0.0962  0.5689  0.0013 x1  1 Mn 1.96, 1 W 2.05
O  0.1709  0.8365  0.7157 x1  1 W 1.92
O  0.2174  0.8631  0.2825 x1  1 W 1.91
O  0.2855  0.3231  0.2897 x1  1 Mn 1.94, 1 W 1.95
O  0.2852  0.3290  0.7124 x1  1 W 1.92, 1 Mn 1.98
O  0.4210  0.0710  0.9993 x1  1 Mn 1.95, 1 W 2.03
O  0.5882  0.0195  0.5014 x1  1 W 1.91, 1 Mn 1.96
O  0.7138  0.7596  0.8075 x1  1 Mn 1.93, 1 W 2.00
O  0.7157  0.7588  0.1964 x1  1 W 1.96, 1 Mn 1.97
O  0.7731  0.2332  0.2088 x1  1 W 1.97
O  0.8120  0.2832  0.8004 x1  1 W 1.96
O  0.9286  0.5310  0.4996 x1  1 W 1.89, 1 Mn 1.95

Output
- total DFT energy (no corrections) (eV for the cell shown) = -138.38
- total moment (μB per atom) = 0.00

Computed, not measured: a relaxed structure of CaMnWO6 at the PBE with a Hubbard U level of DFT.

abc: 5.3234 5.3904 9.2565
angles: 90.00 125.06 90.00
With the nearest neighbours (Å) after each atom.
Space group Pc (No. 7)
Unique sites:
Ca  0.0000  0.2075  0.0000 x2  7 O 2.34-2.61
Mn  0.2418  0.2509  0.7487 x2  6 O 1.91-1.93
W  0.7418  0.2590  0.2494 x2  6 O 1.92-1.97
O  0.0554  0.0329  0.2796 x2  1 Mn 1.93, 1 W 1.95
O  0.4110  0.4634  0.2124 x2  1 Mn 1.91, 1 W 1.93
O  0.4890  0.0311  0.7171 x2  1 Mn 1.91, 1 W 1.97
O  0.5607  0.2612  0.9977 x2  1 Mn 1.92, 1 W 1.94
O  0.9302  0.2394  0.5009 x2  1 Mn 1.91, 1 W 1.94
O  0.9888  0.4566  0.7867 x2  1 W 1.92, 1 Mn 1.93

Output
- total DFT energy (no corrections) (eV for the cell shown) = -128.81
- total moment (μB per atom) = 0.00

Computed, not measured: a relaxed structure of Ca2YMn3O9 at the PBE with a Hubbard U level of DFT.

abc: 16.4585 7.6223 5.3488
angles: 90.00 90.00 90.00
With the nearest neighbours (Å) after each atom.
Space group Pnma (No. 62)
Unique sites:
Ca  0.0179  0.2500  0.0115 x4  4 O 2.34-2.37
Ca  0.1832  0.2500  0.4894 x4  6 O 2.34-2.58
Y  0.1468  0.7500  0.5136 x4  8 O 2.30-2.57
Mn  0.0000  0.0000  0.5000 x4  6 O 1.96-1.99
Mn  0.1674  0.0013  0.0006 x8  6 O 1.95-1.98
O  0.0080  0.7500  0.4193 x4  2 Mn 1.96
O  0.0708  0.5506  0.7918 x8  2 Mn 1.98-1.99
O  0.0997  0.0348  0.3013 x8  2 Mn 1.97
O  0.1589  0.2500  0.9204 x4  2 Mn 1.95
O  0.1753  0.7500  0.0928 x4  2 Mn 1.98
O  0.2335  0.5478  0.6997 x8  2 Mn 1.98

Output
- total DFT energy (no corrections) (eV for the cell shown) = -446.65
- total moment (μB per atom) = 0.67

Computed, not measured: a relaxed structure of CaYMn2O6 at the PBE with a Hubbard U level of DFT.

abc: 5.2380 5.4246 9.4746
angles: 90.00 123.13 90.00
With the nearest neighbours (Å) after each atom.
Space group Pc (No. 7)
Unique sites:
Ca  0.0000  0.1985  0.0000 x2  5 O 2.30-2.56
Y  0.4643  0.3094  0.4968 x2  6 O 2.24-2.50
Mn  0.2360  0.2461  0.7490 x2  6 O 1.96-2.16
Mn  0.7347  0.2490  0.2486 x2  6 O 1.93-1.96
O  0.0854  0.0525  0.2980 x2  2 Mn 1.95-1.97
O  0.3953  0.4588  0.2019 x2  2 Mn 1.95-1.97
O  0.4869  0.0484  0.6958 x2  2 Mn 1.96
O  0.5810  0.2797  0.0123 x2  2 Mn 1.93-2.14
O  0.8716  0.2260  0.4853 x2  2 Mn 1.95-2.16
O  0.9918  0.4604  0.8001 x2  2 Mn 1.95-1.97

Output
- total DFT energy (no corrections) (eV for the cell shown) = -153.30
- distance to the lowest polymorph of the same formula (eV/f.u.) = 0.11
- total moment (μB per atom) = 0.70

Computed, not measured: a relaxed structure of CaYMn2O6 at the PBE with a Hubbard U level of DFT.

abc: 5.3789 7.4689 5.6183
angles: 90.00 92.34 90.00
With the nearest neighbours (Å) after each atom.
Space group Pm (No. 6)
Unique sites:
Ca  0.0000  0.0000  0.0000 x1  6 O 2.33-2.54
Ca  0.4985  0.5000  0.3874 x1  4 O 2.32-2.40
Y  0.4742  0.0000  0.5110 x1  6 O 2.29-2.52
Y  0.9710  0.5000  0.8747 x1  6 O 2.29-2.44
Mn  0.4864  0.2500  0.9491 x2  5 O 1.93-2.13
Mn  0.9884  0.2500  0.4390 x2  6 O 1.94-1.98
O  0.0812  0.5000  0.4781 x1  2 Mn 1.94
O  0.1900  0.2028  0.7342 x2  2 Mn 1.98-1.99
O  0.2815  0.2009  0.2583 x2  2 Mn 1.94-2.13
O  0.3896  0.5000  0.9685 x1  2 Mn 1.94
O  0.5724  0.0000  0.9171 x1  2 Mn 1.93
O  0.7072  0.2946  0.6394 x2  2 Mn 1.95-2.17
O  0.7987  0.3006  0.1408 x2  2 Mn 1.96-1.99
O  0.8825  0.0000  0.4125 x1  2 Mn 1.96

Output
- total DFT energy (no corrections) (eV for the cell shown) = -153.44
- distance to the lowest polymorph of the same formula (eV/f.u.) = 0.04
- total moment (μB per atom) = 0.70

Computed, not measured: a relaxed structure of Ca2YMnO5 at the PBE with a Hubbard U level of DFT.

abc: 16.4636 5.6092 5.4288
angles: 90.00 90.00 90.00
With the nearest neighbours (Å) after each atom.
Space group Ima2 (No. 46)
Unique sites:
Ca  0.0993  0.0264  0.0000 x8  6 O 2.32-2.59
Y  0.2500  0.5398  0.0301 x4  4 O 2.13-2.23
Mn  0.0000  0.0000  0.4791 x4  4 O 1.94-1.99
O  0.0153  0.7474  0.7333 x8  2 Mn 1.94-1.99
O  0.1302  0.0745  0.4382 x8  1 Y 2.13, 1 Mn 2.19, 1 Ca 2.32
O  0.2500  0.5777  0.4390 x4  2 Y 2.20-2.23

Output
- total DFT energy (no corrections) (eV for the cell shown) = -266.02
- total moment (μB per atom) = 0.44

Computed, not measured: a relaxed structure of CaYMn2O6 at the PBE with a Hubbard U level of DFT.

abc: 7.5773 5.5537 5.3547
angles: 90.00 90.00 90.00
With the nearest neighbours (Å) after each atom.
Space group Pmn2_1 (No. 31)
Unique sites:
Ca  0.0000  0.1970  0.0000 x2  6 O 2.33-2.58
Y  0.0000  0.6865  0.4725 x2  6 O 2.28-2.48
Mn  0.2499  0.2462  0.4882 x4  6 O 1.96-2.01
O  0.0000  0.2816  0.5744 x2  2 Mn 1.96
O  0.0000  0.7763  0.8880 x2  2 Mn 1.97
O  0.2002  0.9479  0.2915 x4  2 Mn 1.99-2.00
O  0.2034  0.4590  0.1967 x4  2 Mn 1.99-2.01

Output
- total DFT energy (no corrections) (eV for the cell shown) = -153.52
- distance to the lowest polymorph of the same formula (eV/f.u.) = 0.00
- total moment (μB per atom) = 0.70